No. 1
First-principles (PBE) data for crystalline Zr9NiMo4 at its relaxed geometry, as listed in the Materials Project database.

```
Zr9NiMo4
1.0
3.829 5.581 5.683
-8.671 0.586 -1.604
-1.525 -5.356 6.286
Zr Mo Ni
18 8 2
Cartesian
-1.642 -2.719 7.879 Zr
-4.078 -1.139 6.455 Zr
-6.860 -0.800 2.639 Zr
-2.775 1.046 0.843 Zr
-3.592 -0.235 9.522 Zr
-0.846 4.052 6.052 Zr
-3.367 -1.035 3.286 Zr
-7.345 -0.918 5.850 Zr
-6.268 1.282 0.196 Zr
-1.049 -0.638 5.436 Zr
-2.289 1.950 3.910 Zr
0.978 1.729 4.515 Zr
0.494 1.610 7.726 Zr
-0.099 -0.471 10.169 Zr
-4.725 3.530 2.486 Zr
-5.318 1.449 4.929 Zr
-2.999 1.846 7.079 Zr
-5.521 -3.241 4.314 Zr
2.073 3.693 6.453 Mo
-8.440 -2.882 3.912 Mo
-3.737 4.085 5.378 Mo
-0.493 -0.047 2.645 Mo
0.000 0.000 0.000 Mo
-5.874 0.858 7.720 Mo
-2.630 -3.274 4.987 Mo
-0.762 -2.678 3.143 Mo
-4.886 0.912 2.396 Ni
-1.481 -0.101 7.969 Ni
```

Properties
Calculated total energy, eV/f.u.: -128.0

No. 2
First-principles (PBE) data for crystalline NpMo6Se8 at its relaxed geometry, as listed in the Materials Project database.

```
NpMo6Se8
1.0
4.834 -4.756 0.000
4.834 4.756 0.000
0.155 0.000 6.779
Mo Se Np
6 8 1
Cartesian
4.796 0.647 1.586 Mo
6.555 -0.905 2.981 Mo
3.905 -1.552 2.876 Mo
3.268 0.905 3.798 Mo
5.918 1.552 3.903 Mo
5.028 -0.647 5.194 Mo
4.308 3.028 2.506 Se
4.353 1.847 5.957 Se
7.476 0.000 5.160 Se
5.470 -1.847 0.822 Se
7.332 1.181 1.640 Se
2.347 0.000 1.619 Se
2.491 -1.181 5.139 Se
5.515 -3.028 4.273 Se
0.000 0.000 0.000 Np
```

Properties
Calculated total energy, eV/f.u.: -114.1

Number 1: V 568.0 Å³ per cell, magnetization 0.00 μB per cell. Number 2: V 311.7 Å³ per cell, magnetization 1.00 μB per cell.